Computed, not measured: crystalline CeTh2O6 at its relaxed geometry at the GGA-PBE level of DFT.

Results
The calculation puts the formation energy at -4.22 eV per atom.

abc: 3.940 5.567 11.805
angles: 90.00 90.00 90.00
Space group Immm (No. 71)
Symmetry-distinct sites (fractional):
Ce1 0.000 0.000 0.000
Th1 0.000 0.000 0.335
O1 0.000 0.247 0.165
O2 0.000 0.254 0.500

=====

Computed, not measured: crystalline CeTh2O6 at its relaxed geometry at the GGA-PBE level of DFT.

Results
The calculation puts the formation energy at -4.22 eV per atom.

abc: 3.9442 3.9442 9.6380
angles: 90.00 90.00 120.00
Space group P-3m1 (No. 164)
Symmetry-distinct sites (fractional):
Ce1 0.0000 0.0000 0.0000
Th1 0.3333 0.6667 0.6697
O1 0.0000 0.0000 0.2455
O2 0.3333 0.6667 0.4160
O3 0.3333 0.6667 0.9206

=====

Computed, not measured: crystalline CeTi2O6 at its relaxed geometry at the GGA-PBE level of DFT.

Results
The calculation puts the formation energy at -3.64 eV per atom.

abc: 9.958 3.789 6.980
angles: 90.00 119.14 90.00
Space group C2/m (No. 12)
Symmetry-distinct sites (fractional):
Ce1 0.000 0.000 0.000
Ti1 0.177 0.000 0.611
O1 0.025 0.000 0.693
O2 0.150 0.500 0.104
O3 0.220 0.500 0.595

=====

Computed, not measured: crystalline CeTi2O6 at its relaxed geometry at the GGA-PBE level of DFT.

Results
The total magnetic moment is 0.0 Bohr magnetons per cell. The calculation puts the formation energy at -3.59 eV per atom.

abc: 10.704 8.672 5.185
angles: 90.00 114.84 90.00
Space group C2/c (No. 15)
Symmetry-distinct sites (fractional):
Ce1 0.000 0.192 0.250
Ti1 0.229 0.419 0.946
O1 0.135 0.414 0.540
O2 0.138 0.050 0.634
O3 0.140 0.254 0.044

=====

Computed, not measured: crystalline CeU4O10 at its relaxed geometry at the GGA-PBE level of DFT.

Results
The total magnetic moment is 24.0 Bohr magnetons per cell. The calculation puts the formation energy at -3.81 eV per atom.

abc: 3.8386 3.8386 46.9892
angles: 90.00 90.00 120.00
Space group R-3m (No. 166, hexagonal axes)
Symmetry-distinct sites (fractional):
Ce1 0.0000 0.0000 0.0000
U1 0.0000 0.0000 0.2001
U2 0.0000 0.0000 0.4000
O1 0.0000 0.0000 0.0523
O2 0.0000 0.0000 0.1500
O3 0.0000 0.0000 0.2497
O4 0.0000 0.0000 0.3524
O5 0.0000 0.0000 0.4499

=====

Computed, not measured: crystalline Ce2UO6 at its relaxed geometry at the GGA-PBE level of DFT.

Results
Its energy above the most stable polymorph in this dataset is 6 meV per atom. The total magnetic moment is 4.0 Bohr magnetons per cell. The calculation puts the formation energy at -3.93 eV per atom.

abc: 3.872 5.467 11.476
angles: 90.00 90.00 90.00
Space group Immm (No. 71)
Symmetry-distinct sites (fractional):
Ce1 0.000 0.000 0.166
U1 0.000 0.000 0.500
O1 0.000 0.246 0.340
O2 0.000 0.266 0.000

=====

Computed, not measured: crystalline Ce2UO6 at its relaxed geometry at the GGA-PBE level of DFT.

Results
Its energy above the most stable polymorph in this dataset is 0 meV per atom. The total magnetic moment is 2.0 Bohr magnetons per cell. The calculation puts the formation energy at -3.93 eV per atom.

abc: 3.8715 3.8715 9.3813
angles: 90.00 90.00 120.00
Space group P-3m1 (No. 164)
Symmetry-distinct sites (fractional):
Ce1 0.3333 0.6667 0.1662
U1 0.0000 0.0000 0.5000
O1 0.0000 0.0000 0.2685
O2 0.3333 0.6667 0.4290
O3 0.3333 0.6667 0.9128

=====

Computed, not measured: crystalline Ce2U2O9 at its relaxed geometry at the GGA-PBE level of DFT.

Results
The total magnetic moment is 4.0 Bohr magnetons per cell. The calculation puts the formation energy at -3.60 eV per atom.

abc: 5.430 5.430 10.802
angles: 90.00 90.00 90.00
Space group I4/mmm (No. 139)
Symmetry-distinct sites (fractional):
Ce1 0.000 0.000 0.232
U1 0.000 0.500 0.000
O1 0.000 0.000 0.000
O2 0.234 0.234 0.376

=====

Computed, not measured: crystalline CeU5O12 at its relaxed geometry at the GGA-PBE level of DFT.

Results
The calculation puts the formation energy at -3.81 eV per atom.

abc: 6.655 11.527 6.655
angles: 90.00 109.47 90.00
Space group C2/m (No. 12)
Symmetry-distinct sites (fractional):
Ce1 0.000 0.000 0.000
U1 0.000 0.167 0.500
U2 0.000 0.333 0.000
U3 0.000 0.500 0.500
O1 0.116 0.500 0.871
O2 0.125 0.333 0.377
O3 0.128 0.170 0.871
O4 0.129 0.000 0.384

=====

Computed, not measured: crystalline Ce6Y26O51 at its relaxed geometry at the GGA-PBE level of DFT.

Results
The total magnetic moment is 0.0 Bohr magnetons per cell. The calculation puts the formation energy at -3.94 eV per atom.

abc: 9.320 9.369 15.263
angles: 90.10 90.06 109.59
Space group P1 (No. 1)
Symmetry-distinct sites (fractional):
Ce1 0.000 0.000 0.000
Ce2 0.041 0.019 0.238
Ce3 0.303 0.793 0.240
Ce4 0.491 0.496 0.501
Ce5 0.544 0.516 0.739
Ce6 0.782 0.309 0.255
Y1 0.002 0.997 0.504
Y2 0.015 0.045 0.767
Y3 0.134 0.424 0.612
Y4 0.140 0.401 0.382
Y5 0.147 0.405 0.873
Y6 0.169 0.415 0.142
Y7 0.262 0.800 0.516
Y8 0.288 0.751 0.997
Y9 0.307 0.812 0.755
Y10 0.388 0.166 0.864
Y11 0.420 0.172 0.139
Y12 0.429 0.144 0.384
Y13 0.429 0.147 0.626
Y14 0.496 0.496 0.002
Y15 0.513 0.520 0.268
Y16 0.637 0.915 0.110
Y17 0.648 0.894 0.377
Y18 0.649 0.901 0.879
Y19 0.673 0.915 0.644
Y20 0.761 0.295 0.014
Y21 0.785 0.242 0.500
Y22 0.801 0.297 0.740
Y23 0.887 0.670 0.363
Y24 0.908 0.661 0.627
Y25 0.918 0.633 0.891
Y26 0.931 0.651 0.126
O1 0.007 0.751 0.493
O2 0.028 0.250 0.264
O3 0.039 0.250 0.501
O4 0.053 0.776 0.255
O5 0.058 0.295 0.737
O6 0.059 0.793 0.003
O7 0.143 0.154 0.897
O8 0.151 0.667 0.651
O9 0.152 0.142 0.109
O10 0.162 0.652 0.858
O11 0.177 0.657 0.128
O12 0.245 0.490 0.002
O13 0.255 0.031 0.742
O14 0.262 0.046 0.507
O15 0.271 0.549 0.272
O16 0.274 0.561 0.494
O17 0.280 0.045 0.262
O18 0.367 0.364 0.386
O19 0.374 0.390 0.632
O20 0.396 0.923 0.111
O21 0.398 0.876 0.389
O22 0.408 0.432 0.858
O23 0.420 0.424 0.137
O24 0.421 0.941 0.884
O25 0.426 0.900 0.623
O26 0.508 0.252 0.995
O27 0.529 0.748 0.764
O28 0.540 0.289 0.264
O29 0.540 0.749 0.999
O30 0.550 0.277 0.756
O31 0.557 0.793 0.238
O32 0.558 0.293 0.502
O33 0.640 0.645 0.397
O34 0.650 0.638 0.608
O35 0.666 0.157 0.143
O36 0.672 0.153 0.627
O37 0.677 0.140 0.365
O38 0.751 0.979 0.506
O39 0.760 0.546 0.007
O40 0.767 0.552 0.238
O41 0.771 0.051 0.771
O42 0.782 0.056 0.990
O43 0.796 0.562 0.761
O44 0.877 0.890 0.129
O45 0.889 0.866 0.873
O46 0.892 0.421 0.608
O47 0.896 0.375 0.890
O48 0.909 0.931 0.359
O49 0.910 0.439 0.381
O50 0.921 0.403 0.124
O51 0.931 0.914 0.644

=====

Computed, not measured: crystalline Ce9YO20 at its relaxed geometry at the GGA-PBE level of DFT.

Results
The calculation puts the formation energy at -3.85 eV per atom.

abc: 6.676 7.711 8.632
angles: 102.86 97.53 106.63
Space group P-1 (No. 2)
Symmetry-distinct sites (fractional):
Ce1 0.000 0.000 0.000
Ce2 0.199 0.400 0.398
Ce3 0.199 0.899 0.398
Ce4 0.398 0.799 0.801
Ce5 0.401 0.301 0.802
Y1 0.000 0.500 0.000
O1 0.050 0.223 0.849
O2 0.050 0.727 0.849
O3 0.150 0.175 0.550
O4 0.150 0.675 0.550
O5 0.250 0.125 0.250
O6 0.252 0.626 0.252
O7 0.350 0.075 0.950
O8 0.352 0.576 0.949
O9 0.450 0.025 0.650
O10 0.450 0.525 0.650

=====

Computed, not measured: crystalline Ce6Y2O15 at its relaxed geometry at the GGA-PBE level of DFT.

Results
The total magnetic moment is 0.0 Bohr magnetons per cell. The calculation puts the formation energy at -3.92 eV per atom.

abc: 15.401 10.906 10.887
angles: 90.00 134.99 90.00
Space group Cc (No. 9)
Symmetry-distinct sites (fractional):
Ce1 0.000 0.001 0.000
Ce2 0.003 0.488 0.518
Ce3 0.237 0.260 0.243
Ce4 0.250 0.497 0.004
Ce5 0.251 0.246 0.756
Ce6 0.496 0.248 0.750
Y1 0.012 0.237 0.756
Y2 0.241 0.012 0.481
O1 0.101 0.378 0.985
O2 0.116 0.135 0.241
O3 0.118 0.128 0.492
O4 0.122 0.384 0.257
O5 0.125 0.117 0.745
O6 0.126 0.372 0.508
O7 0.132 0.368 0.763
O8 0.151 0.125 0.026
O9 0.368 0.377 0.500
O10 0.371 0.128 0.474
O11 0.373 0.375 0.750
O12 0.374 0.110 0.753
O13 0.374 0.360 0.251
O14 0.377 0.379 0.000
O15 0.379 0.126 0.027